This record from the Materials Project database describes an optimized crystal structure of Sr2LiV2Si4O14. The functional is PBE with a Hubbard U.

extended XYZ file:
```
23
Lattice="5.464 0.000 0.000 0.098 7.196 0.000 2.581 0.217 7.395" Properties=species:S:1:pos:R:3 pbc="T T T"
Sr 0.000 0.000 0.000
Sr 2.585 3.758 1.589
Li 3.228 1.952 4.514
V 2.600 3.886 6.289
V 2.520 7.243 2.995
Si 5.379 5.828 6.126
Si 5.371 1.881 6.216
Si 5.301 5.362 2.927
Si 5.280 2.147 2.973
O 1.083 1.441 2.278
O 1.179 5.906 2.210
O 2.518 0.292 4.812
O 2.586 3.776 4.633
O 3.972 2.496 6.814
O 4.018 5.216 6.810
O 3.782 1.665 2.600
O 5.301 0.251 6.571
O 3.916 5.936 2.313
O 5.331 2.119 4.615
O 5.379 5.573 4.538
O 6.716 5.217 6.845
O 6.708 2.495 6.911
O 5.335 3.744 2.509
```

Results
polymorph energy (0 for the lowest one): 0.000 eV/atom
energy: -7.443 eV per atom
crystal system: triclinic
space group: No. 1
DFT formation energy: -3.0340 eV per atom